[1]
First-principles (GGA-PBE) data for a relaxed structure of La3InFeS7, as listed in the Materials Project database.

Lattice parameters (Å, degrees): 10.061 10.061 6.393 90.00 90.00 120.00
Atoms (fractional coordinates):
La 0.152 0.371 0.000
La 0.219 0.848 0.000
La 0.371 0.219 0.500
La 0.629 0.781 0.000
La 0.781 0.152 0.500
La 0.848 0.629 0.500
In 0.333 0.667 0.436
In 0.667 0.333 0.936
Fe 0.000 0.000 0.351
Fe 0.000 0.000 0.851
S 0.079 0.565 0.267
S 0.086 0.204 0.603
S 0.118 0.914 0.603
S 0.204 0.118 0.103
S 0.333 0.667 0.812
S 0.435 0.514 0.267
S 0.486 0.921 0.267
S 0.514 0.079 0.767
S 0.565 0.486 0.767
S 0.667 0.333 0.312
S 0.796 0.882 0.603
S 0.882 0.086 0.103
S 0.914 0.796 0.103
S 0.921 0.435 0.767

Properties
DFT total energy, eV per atom: -6.0919
Symmetry: P6_3, No. 173
Crystal system: hexagonal

=====

[2]
First-principles (GGA-PBE) data for a relaxed structure of Zn2BiSbO6, as listed in the Materials Project database.

Lattice parameters (Å, degrees): 5.532 8.179 5.611 90.00 92.05 90.00
Atoms (fractional coordinates):
Zn 0.011 0.250 0.468
Zn 0.477 0.750 0.994
Zn 0.523 0.250 0.006
Zn 0.989 0.750 0.532
Bi 0.000 0.000 0.000
Bi 0.000 0.500 0.000
Sb 0.500 0.000 0.500
Sb 0.500 0.500 0.500
O 0.134 0.750 0.868
O 0.181 0.572 0.373
O 0.181 0.928 0.373
O 0.361 0.072 0.808
O 0.361 0.428 0.808
O 0.388 0.250 0.363
O 0.612 0.750 0.637
O 0.639 0.572 0.192
O 0.639 0.928 0.192
O 0.819 0.072 0.627
O 0.819 0.428 0.627
O 0.866 0.250 0.132

Properties
DFT total energy, eV per atom: -5.2918
Symmetry: P2_1/m, No. 11
Crystal system: monoclinic

=====

[3]
First-principles (GGA-PBE) data for a relaxed structure of Mg2V3CoS8, as listed in the Materials Project database.

Lattice parameters (Å, degrees): 7.245 7.245 7.245 58.69 58.69 58.69
Atoms (fractional coordinates):
Mg 0.125 0.125 0.125
Mg 0.875 0.875 0.875
V 0.000 0.500 0.500
V 0.500 0.000 0.500
V 0.500 0.500 0.000
Co 0.500 0.500 0.500
S 0.261 0.261 0.261
S 0.272 0.272 0.708
S 0.272 0.708 0.272
S 0.292 0.728 0.728
S 0.708 0.272 0.272
S 0.728 0.292 0.728
S 0.728 0.728 0.292
S 0.739 0.739 0.739

Properties
DFT total energy, eV per atom: -5.9252
Symmetry: R-3m, No. 166
Crystal system: trigonal

=====

[4]
First-principles (GGA-PBE) data for a relaxed structure of Dy3AlNiS7, as listed in the Materials Project database.

Lattice parameters (Å, degrees): 9.554 9.554 6.197 90.00 90.00 120.00
Atoms (fractional coordinates):
Dy 0.154 0.376 0.000
Dy 0.222 0.846 0.000
Dy 0.376 0.222 0.500
Dy 0.624 0.778 0.000
Dy 0.778 0.154 0.500
Dy 0.846 0.624 0.500
Al 0.333 0.667 0.426
Al 0.667 0.333 0.926
Ni 0.000 0.000 0.331
Ni 0.000 0.000 0.831
S 0.089 0.568 0.271
S 0.099 0.231 0.596
S 0.131 0.901 0.596
S 0.231 0.131 0.096
S 0.333 0.667 0.788
S 0.432 0.521 0.271
S 0.479 0.911 0.271
S 0.521 0.089 0.771
S 0.568 0.479 0.771
S 0.667 0.333 0.288
S 0.769 0.869 0.596
S 0.869 0.099 0.096
S 0.901 0.769 0.096
S 0.911 0.432 0.771

Properties
DFT total energy, eV per atom: -5.9101
Symmetry: P6_3, No. 173
Crystal system: hexagonal

=====

[5]
First-principles (GGA-PBE) data for a relaxed structure of KEuZrGeO6, as listed in the Materials Project database.

Lattice parameters (Å, degrees): 5.681 5.681 5.681 60.00 60.00 60.00
Atoms (fractional coordinates):
K 0.000 0.000 0.000
Eu 0.500 0.500 0.500
Zr 0.750 0.750 0.750
Ge 0.250 0.250 0.250
O 0.012 0.012 0.488
O 0.012 0.488 0.012
O 0.012 0.488 0.488
O 0.488 0.012 0.012
O 0.488 0.012 0.488
O 0.488 0.488 0.012

Properties
DFT total energy, eV per atom: -7.8085
Symmetry: F-43m, No. 216
Crystal system: cubic

=====

[6]
First-principles (GGA-PBE) data for a relaxed structure of HgC2Br3N, as listed in the Materials Project database.

Lattice parameters (Å, degrees): 16.827 8.727 15.523 90.00 100.45 90.00
Atoms (fractional coordinates):
Hg 0.000 0.117 0.250
Hg 0.000 0.883 0.750
Hg 0.227 0.197 0.649
Hg 0.227 0.803 0.149
Hg 0.500 0.189 0.750
Hg 0.500 0.811 0.250
Hg 0.773 0.197 0.851
Hg 0.773 0.803 0.351
C 0.077 0.146 0.931
C 0.077 0.854 0.431
C 0.149 0.389 0.986
C 0.149 0.611 0.486
C 0.349 0.399 0.422
C 0.349 0.601 0.922
C 0.436 0.202 0.367
C 0.436 0.798 0.867
C 0.564 0.202 0.133
C 0.564 0.798 0.633
C 0.651 0.399 0.078
C 0.651 0.601 0.578
C 0.851 0.389 0.514
C 0.851 0.611 0.014
C 0.923 0.146 0.569
C 0.923 0.854 0.069
Br 0.109 0.424 0.433
Br 0.109 0.576 0.933
Br 0.141 0.380 0.707
Br 0.141 0.620 0.207
Br 0.142 0.133 0.235
Br 0.142 0.867 0.735
Br 0.313 0.029 0.580
Br 0.313 0.971 0.080
Br 0.380 0.470 0.539
Br 0.380 0.530 0.039
Br 0.400 0.207 0.846
Br 0.400 0.793 0.346
Br 0.600 0.207 0.654
Br 0.600 0.793 0.154
Br 0.620 0.470 0.961
Br 0.620 0.530 0.461
Br 0.687 0.029 0.920
Br 0.687 0.971 0.420
Br 0.858 0.133 0.265
Br 0.858 0.867 0.765
Br 0.859 0.380 0.793
Br 0.859 0.620 0.293
Br 0.891 0.424 0.067
Br 0.891 0.576 0.567
N 0.105 0.271 0.950
N 0.105 0.729 0.450
N 0.399 0.291 0.403
N 0.399 0.709 0.903
N 0.601 0.291 0.097
N 0.601 0.709 0.597
N 0.895 0.271 0.550
N 0.895 0.729 0.050

Properties
DFT total energy, eV per atom: -3.9812
Symmetry: P2/c, No. 13
Crystal system: monoclinic

=====

[7]
First-principles (GGA-PBE) data for a relaxed structure of InBiS3, as listed in the Materials Project database.

Lattice parameters (Å, degrees): 6.670 3.936 9.944 90.00 91.33 90.00
Atoms (fractional coordinates):
In 0.246 0.250 0.497
In 0.754 0.750 0.503
Bi 0.396 0.750 0.151
Bi 0.604 0.250 0.849
S 0.082 0.750 0.357
S 0.251 0.250 0.989
S 0.428 0.750 0.649
S 0.572 0.250 0.351
S 0.749 0.750 0.011
S 0.918 0.250 0.643

Properties
DFT total energy, eV per atom: -4.2450
Symmetry: P2_1/m, No. 11
Crystal system: monoclinic

=====

[8]
First-principles (GGA-PBE) data for a relaxed structure of MgZr3, as listed in the Materials Project database.

Lattice parameters (Å, degrees): 4.475 4.475 4.475 90.00 90.00 90.00
Atoms (fractional coordinates):
Mg 0.000 0.000 0.000
Zr 0.000 0.500 0.500
Zr 0.500 0.000 0.500
Zr 0.500 0.500 0.000

Properties
DFT total energy, eV per atom: -6.7991
Symmetry: Pm-3m, No. 221
Crystal system: cubic

=====

The evaluated energy relative to the elements for the records listed, in turn: -1803; -1681; -1166; -1845; -2798; 540; -737; 12 meV per atom.